KCrPCO7 after structural relaxation, computed with GGA+U.

Cell: 10.425 6.258 5.262 Å, 90.02 88.77 89.95°
Fractional coordinates of all 22 atoms:
K 0.210 0.382 0.235
K 0.790 0.882 0.765
Cr 0.358 0.772 0.780
Cr 0.642 0.271 0.220
P 0.443 0.267 0.720
P 0.557 0.767 0.281
C 0.132 0.753 0.707
C 0.868 0.253 0.293
O 0.983 0.237 0.336
O 0.185 0.763 0.935
O 0.227 0.760 0.527
O 0.351 0.074 0.775
O 0.353 0.461 0.778
O 0.441 0.763 0.107
O 0.482 0.269 0.436
O 0.518 0.769 0.564
O 0.559 0.263 0.893
O 0.647 0.960 0.222
O 0.648 0.573 0.225
O 0.773 0.259 0.473
O 0.815 0.262 0.065
O 0.018 0.737 0.663

Results
ΔH_f (0 K) = -2252 meV/atom
Symmetry = P1 (1)

***

Li12MnCr3P4C4O28 after structural relaxation, computed with GGA+U.

Cell: 6.499 8.682 10.000 Å, 85.38 90.00 90.00°
Fractional coordinates of all 52 atoms:
Li 0.000 0.898 0.611
Li 0.000 0.897 0.118
Li 0.224 0.728 0.870
Li 0.776 0.728 0.870
Li 0.226 0.729 0.373
Li 0.774 0.729 0.373
Li 0.725 0.273 0.628
Li 0.275 0.273 0.628
Li 0.723 0.270 0.128
Li 0.277 0.270 0.128
Li 0.500 0.107 0.885
Li 0.500 0.109 0.387
Mn 0.000 0.341 0.389
Cr 0.500 0.665 0.603
Cr 0.500 0.665 0.103
Cr 0.000 0.333 0.897
P 0.000 0.588 0.640
P 0.000 0.588 0.138
P 0.500 0.411 0.862
P 0.500 0.410 0.363
C 0.500 0.967 0.648
C 0.500 0.966 0.148
C 0.000 0.032 0.851
C 0.000 0.035 0.350
O 0.500 0.944 0.522
O 0.000 0.893 0.810
O 0.500 0.944 0.022
O 0.500 0.846 0.736
O 0.000 0.892 0.318
O 0.500 0.846 0.236
O 0.186 0.687 0.583
O 0.814 0.687 0.583
O 0.186 0.687 0.083
O 0.814 0.687 0.083
O 0.500 0.577 0.909
O 0.000 0.582 0.796
O 0.500 0.577 0.408
O 0.000 0.576 0.295
O 0.500 0.419 0.707
O 0.000 0.422 0.595
O 0.500 0.418 0.208
O 0.000 0.422 0.093
O 0.314 0.313 0.919
O 0.686 0.313 0.919
O 0.685 0.312 0.420
O 0.315 0.312 0.420
O 0.000 0.153 0.762
O 0.500 0.105 0.689
O 0.000 0.147 0.255
O 0.000 0.055 0.976
O 0.500 0.105 0.189
O 0.000 0.067 0.473

Results
ΔH_f (0 K) = -2396 meV/atom
Symmetry = Pm (6)

***

Li6MnCrP2C2O14 after structural relaxation, computed with GGA+U.

Cell: 5.008 6.514 8.682 Å, 90.00 84.36 90.00°
Fractional coordinates of all 26 atoms:
Li 0.787 0.250 0.112
Li 0.213 0.750 0.897
Li 0.269 0.025 0.269
Li 0.269 0.475 0.269
Li 0.729 0.522 0.731
Li 0.729 0.978 0.731
Mn 0.781 0.750 0.341
Cr 0.200 0.250 0.665
P 0.736 0.250 0.409
P 0.272 0.750 0.589
C 0.685 0.750 0.036
C 0.308 0.250 0.963
O 0.934 0.750 0.062
O 0.398 0.250 0.099
O 0.501 0.750 0.155
O 0.188 0.750 0.423
O 0.425 0.250 0.416
O 0.585 0.750 0.579
O 0.822 0.250 0.575
O 0.478 0.250 0.837
O 0.613 0.750 0.896
O 0.056 0.250 0.947
O 0.853 0.064 0.311
O 0.853 0.435 0.310
O 0.159 0.936 0.689
O 0.159 0.564 0.689

Results
ΔH_f (0 K) = -2404 meV/atom
Symmetry = Pm (6)

***

Li12Mn3CrP4C4O28 after structural relaxation, computed with GGA+U.

Cell: 6.567 8.586 10.010 Å, 85.58 90.00 90.00°
Fractional coordinates of all 52 atoms:
Li 0.000 0.908 0.621
Li 0.000 0.908 0.120
Li 0.222 0.727 0.877
Li 0.778 0.727 0.877
Li 0.221 0.727 0.377
Li 0.779 0.727 0.377
Li 0.724 0.273 0.624
Li 0.276 0.273 0.624
Li 0.723 0.273 0.123
Li 0.277 0.273 0.123
Li 0.500 0.092 0.880
Li 0.500 0.090 0.379
Mn 0.500 0.660 0.611
Mn 0.500 0.660 0.110
Mn 0.000 0.341 0.889
Cr 0.000 0.335 0.392
P 0.000 0.590 0.640
P 0.000 0.590 0.140
P 0.500 0.410 0.860
P 0.500 0.412 0.359
C 0.500 0.967 0.648
C 0.500 0.967 0.148
C 0.000 0.033 0.852
C 0.000 0.032 0.353
O 0.500 0.931 0.525
O 0.000 0.888 0.822
O 0.500 0.931 0.025
O 0.500 0.856 0.745
O 0.000 0.888 0.321
O 0.500 0.856 0.245
O 0.185 0.689 0.586
O 0.815 0.689 0.586
O 0.185 0.689 0.085
O 0.815 0.689 0.085
O 0.500 0.579 0.905
O 0.000 0.577 0.796
O 0.500 0.579 0.406
O 0.000 0.580 0.296
O 0.500 0.423 0.703
O 0.000 0.422 0.594
O 0.500 0.424 0.203
O 0.000 0.422 0.094
O 0.316 0.311 0.914
O 0.684 0.311 0.914
O 0.686 0.313 0.413
O 0.314 0.313 0.413
O 0.000 0.144 0.755
O 0.500 0.112 0.678
O 0.000 0.145 0.258
O 0.000 0.069 0.975
O 0.500 0.112 0.178
O 0.000 0.065 0.476

Results
ΔH_f (0 K) = -2406 meV/atom
Symmetry = Pm (6)